[1]
{"formula": "Hf3ScGa12", "functional": "GGA-PBE", "state": "relaxed", "total_magnetization_mub_per_fu": 0.0, "e_tot_ev_per_cell": -79.022, "ef_ev_per_atom": -0.405, "space_group": "No. 99", "rho_g_cm3": 8.45, "cell": [[-0.4894, -2.0171, 3.3935], [-2.9337, -2.1023, -1.6727], [11.6923, -11.9882, -5.4396]], "species": ["Hf", "Hf", "Hf", "Sc", "Ga", "Ga", "Ga", "Ga", "Ga", "Ga", "Ga", "Ga", "Ga", "Ga", "Ga", "Ga"], "frac_coords": [[0.0000, 0.0000, 0.8813], [0.0000, 0.0000, 0.1176], [0.5000, 0.5000, 0.6198], [0.5000, 0.5000, 0.3809], [0.5000, 0.0000, 0.0000], [0.0000, 0.5000, 0.4999], [0.5000, 0.0000, 0.4999], [0.0000, 0.5000, 0.0000], [0.5000, 0.5000, 0.1267], [0.0000, 0.0000, 0.6232], [0.0000, 0.0000, 0.3759], [0.5000, 0.5000, 0.8753], [0.0000, 0.5000, 0.2497], [0.5000, 0.0000, 0.7500], [0.5000, 0.0000, 0.2497], [0.0000, 0.5000, 0.7500]]}

=====

[2]
{"formula": "Ce2Ge2IrRh", "functional": "GGA-PBE", "state": "relaxed", "e_tot_ev_per_cell": -85.408, "ef_ev_per_atom": -0.898, "space_group": "No. 26", "rho_g_cm3": 10.07, "cell": [[-3.6613, 0.3744, 2.4493], [3.7940, -1.1671, 5.8498], [1.2288, 7.4750, 0.6943]], "species": ["Ce", "Ce", "Ce", "Ce", "Ge", "Ge", "Ge", "Ge", "Ir", "Ir", "Rh", "Rh"], "frac_coords": [[0.5000, 0.5146, 0.5496], [0.5000, 0.0146, 0.4504], [0.0000, 0.4874, 0.9490], [0.0000, 0.9874, 0.0510], [0.5000, 0.1815, 0.8341], [0.5000, 0.6815, 0.1659], [0.0000, 0.8190, 0.6666], [0.0000, 0.3190, 0.3334], [0.5000, 0.7880, 0.8382], [0.5000, 0.2880, 0.1618], [0.0000, 0.2095, 0.6610], [0.0000, 0.7095, 0.3390]]}

=====

[3]
{"formula": "In2Sn2O7", "functional": "GGA-PBE", "state": "relaxed", "total_magnetization_mub_per_fu": 0.0, "e_tot_ev_per_cell": -129.924, "ef_ev_per_atom": -1.965, "space_group": "No. 227", "rho_g_cm3": 6.87, "cell": [[5.2926, -2.9708, -4.1346], [4.7034, -4.8059, 2.9519], [-0.3448, -7.0945, -1.8658]], "species": ["In", "In", "In", "In", "Sn", "Sn", "Sn", "Sn", "O", "O", "O", "O", "O", "O", "O", "O", "O", "O", "O", "O", "O", "O"], "frac_coords": [[0.1250, 0.1250, 0.6250], [0.1250, 0.6250, 0.1250], [0.6250, 0.1250, 0.1250], [0.1250, 0.1250, 0.1250], [0.6250, 0.6250, 0.6250], [0.1250, 0.6250, 0.6250], [0.6250, 0.1250, 0.6250], [0.6250, 0.6250, 0.1250], [0.2832, 0.7168, 0.7168], [0.5332, 0.9668, 0.9668], [0.2832, 0.2832, 0.7168], [0.7168, 0.2832, 0.7168], [0.2832, 0.7168, 0.2832], [0.0000, 0.0000, 0.0000], [0.7168, 0.7168, 0.2832], [0.9668, 0.5332, 0.9668], [0.9668, 0.9668, 0.5332], [0.2500, 0.2500, 0.2500], [0.5332, 0.5332, 0.9668], [0.5332, 0.9668, 0.5332], [0.7168, 0.2832, 0.2832], [0.9668, 0.5332, 0.5332]]}

=====

Q: Number 2 is which compound?
A: Ce2Ge2IrRh